(i)
## CaMnZnAs2H3O10 (GGA+U)

Data for a relaxed CaMnZnAs2H3O10 crystal.

```
CaMnZnAs2H3O10
1.0
4.0633 3.1967 -2.0396
4.0574 -9.6958 -2.2242
0.0410 -0.1065 -7.4987
Ca Mn Zn As H O
2 2 2 4 6 20
Direct
0.5015 0.4999 0.9992
0.0015 0.9999 0.9992
0.5062 0.9998 0.5008
0.0059 0.4997 0.5009
0.2558 0.2556 0.5035
0.7558 0.7556 0.5035
0.8812 0.2950 0.2018
0.3813 0.7951 0.2018
0.6234 0.2056 0.7981
0.1234 0.7056 0.7980
0.3105 0.1001 0.2536
0.8104 0.6001 0.2536
0.1990 0.4057 0.7341
0.6990 0.9056 0.7343
0.0432 0.0131 0.4800
0.5430 0.5130 0.4801
0.5912 0.3429 0.2361
0.0912 0.8429 0.2361
0.8010 0.1218 0.2508
0.3009 0.6218 0.2508
0.9119 0.1568 0.7633
0.4119 0.6568 0.7633
0.7031 0.3789 0.7471
0.2032 0.8789 0.7471
0.0263 0.3419 0.3557
0.5263 0.8418 0.3557
0.4721 0.1574 0.6478
0.9721 0.6574 0.6478
0.1283 0.3716 0.9687
0.6283 0.8716 0.9687
0.3760 0.1292 0.0321
0.8760 0.6292 0.0321
0.2442 0.0730 0.4090
0.7440 0.5730 0.4090
0.2655 0.4318 0.5822
0.7656 0.9317 0.5823
```

***

(ii)
## CaMnZnAs2H3O10 (GGA+U)

Data for a relaxed CaMnZnAs2H3O10 crystal.

```
CaMnZnAs2H3O10
1.0
-4.8132 -2.3761 1.5193
-9.1799 12.3439 -12.8784
-1.4551 -6.0605 -4.1096
Ca Mn Zn As H O
4 4 4 8 12 40
Direct
0.2506 0.2503 0.2511
0.5006 0.5003 0.5017
0.7532 0.7495 0.7470
0.0024 0.9996 0.9967
0.0046 0.5005 0.0029
0.2558 0.7492 0.2480
0.7557 0.2504 0.7538
0.5068 0.9991 0.4984
0.1281 0.1276 0.6309
0.3765 0.3786 0.8878
0.6290 0.6277 0.1319
0.8805 0.8768 0.3749
0.7346 0.1473 0.3478
0.9784 0.3997 0.6075
0.2288 0.6489 0.8545
0.4845 0.8966 0.0952
0.5197 0.1028 0.9026
0.7699 0.3538 0.1549
0.0267 0.6015 0.3954
0.2775 0.8504 0.6424
0.2614 0.0496 0.3023
0.5117 0.3003 0.5538
0.7578 0.5491 0.8047
0.0081 0.7982 0.0527
0.9942 0.2032 0.9384
0.2462 0.4553 0.1896
0.4969 0.7044 0.4370
0.7446 0.9525 0.6861
0.0383 0.0061 0.4846
0.2889 0.2572 0.7365
0.5352 0.5072 0.9876
0.7852 0.7560 0.2352
0.4215 0.1714 0.4074
0.6656 0.4223 0.6617
0.9167 0.6726 0.9102
0.1722 0.9216 0.1559
0.7404 0.0599 0.3097
0.9919 0.3125 0.5701
0.2411 0.5620 0.8172
0.4895 0.8095 0.0574
0.8319 0.0785 0.8421
0.0812 0.3283 0.0934
0.3378 0.5774 0.3397
0.5895 0.8275 0.5880
0.5126 0.1902 0.9388
0.7623 0.4408 0.1905
0.0114 0.6884 0.4309
0.2623 0.9377 0.6785
0.8570 0.1712 0.5260
0.0982 0.4258 0.7889
0.3482 0.6741 0.0369
0.6066 0.9197 0.2742
0.3912 0.0782 0.7277
0.6420 0.3296 0.9792
0.9039 0.5755 0.2149
0.1537 0.8239 0.4630
0.9436 0.1850 0.1532
0.1914 0.4356 0.4122
0.4400 0.6861 0.6607
0.6920 0.9354 0.9021
0.3102 0.0653 0.0984
0.5619 0.3150 0.3492
0.8143 0.5644 0.5901
0.0635 0.8146 0.8386
0.2083 0.0361 0.4447
0.4585 0.2871 0.6965
0.7067 0.5370 0.9457
0.9571 0.7859 0.1933
0.0482 0.2163 0.7994
0.2970 0.4669 0.0511
0.5479 0.7157 0.2981
0.7989 0.9653 0.5467
```

***

Calculated relative energies: (i) 0; (ii) 5, given in meV/atom

***

(i)
## LiCoAsO4 (GGA+U)

Data for a relaxed LiCoAsO4 crystal.

```
LiCoAsO4
1.0
5.6394 -0.4694 1.5414
2.3086 8.0259 -5.6995
-3.0901 4.5380 2.0616
Li Co As O
4 4 4 16
Direct
0.0005 0.0003 0.4991
0.4995 0.4997 0.5009
0.7500 0.2500 0.5000
0.2500 0.7500 0.5000
0.2500 0.7500 0.0000
0.7500 0.7500 0.5000
0.7500 0.2500 0.0000
0.2500 0.2500 0.5000
0.3153 0.0652 0.1195
0.8153 0.5655 0.1190
0.1847 0.4348 0.8805
0.6847 0.9345 0.8810
0.8742 0.3806 0.2448
0.3727 0.8813 0.2459
0.1312 0.1226 0.2460
0.6305 0.6241 0.2452
0.6258 0.1194 0.7552
0.1273 0.6187 0.7541
0.3688 0.3774 0.7540
0.8695 0.8759 0.7548
0.1337 0.1236 0.7628
0.6340 0.6238 0.7629
0.6137 0.1234 0.2431
0.1133 0.6237 0.2423
0.3663 0.3764 0.2372
0.8660 0.8762 0.2371
0.8863 0.3766 0.7569
0.3867 0.8763 0.7577
```

***

(ii)
## LiCoAsO4 (GGA+U)

Data for a relaxed LiCoAsO4 crystal.

```
LiCoAsO4
1.0
-3.6256 -1.8179 -2.8626
-2.4781 -2.6662 4.8320
-5.7909 8.6874 1.8237
Li Co As O
4 4 4 16
Direct
0.0000 0.0000 0.0000
0.5000 0.0000 0.5000
0.0000 0.5000 0.0000
0.5000 0.5000 0.5000
0.4944 0.7500 0.2228
0.5056 0.2500 0.7772
0.0055 0.7500 0.7228
0.9945 0.2500 0.2772
0.0620 0.2500 0.5955
0.4380 0.2500 0.0954
0.9380 0.7500 0.4045
0.5620 0.7500 0.9046
0.7821 0.2500 0.0959
0.2179 0.7500 0.9041
0.7179 0.2500 0.5959
0.2821 0.7500 0.4041
0.7932 0.7500 0.5527
0.7068 0.7500 0.0527
0.2932 0.2500 0.9473
0.2068 0.2500 0.4473
0.7794 0.5301 0.3281
0.2206 0.4699 0.6719
0.7204 0.5299 0.8281
0.7794 0.9699 0.3281
0.2796 0.0299 0.1719
0.2796 0.4701 0.1719
0.2206 0.0301 0.6719
0.7204 0.9700 0.8281
```

***

Calculated relative energies: (i) 18; (ii) 0, given in meV/atom

***

(i)
## Co3As2O8 (GGA+U)

Data for a relaxed Co3As2O8 crystal.

```
Co3As2O8
1.0
-4.4590 6.1305 -4.1951
1.5380 -2.7889 -5.7102
-9.2783 -6.4582 0.4245
Co As O
12 8 32
Direct
0.8340 0.7602 0.6414
0.3340 0.2398 0.8586
0.1660 0.2398 0.3586
0.6660 0.7602 0.1414
0.9452 0.3904 0.8744
0.4452 0.6096 0.6256
0.0548 0.6096 0.1257
0.5548 0.3904 0.3744
0.6695 0.1091 0.9451
0.1695 0.8909 0.5549
0.3305 0.8909 0.0549
0.8305 0.1091 0.4451
0.9125 0.6065 0.3659
0.4125 0.3935 0.1341
0.0875 0.3935 0.6341
0.5875 0.6065 0.8659
0.9540 0.1008 0.1444
0.4540 0.8992 0.3556
0.0460 0.8992 0.8556
0.5460 0.1008 0.6444
0.5404 0.1329 0.7957
0.0404 0.8671 0.7043
0.4596 0.8671 0.2043
0.9596 0.1329 0.2957
0.4068 0.5246 0.8246
0.9068 0.4754 0.6754
0.5932 0.4754 0.1754
0.0932 0.5246 0.3246
0.4980 0.3271 0.5719
0.9980 0.6729 0.9281
0.5020 0.6729 0.4281
0.0020 0.3271 0.0719
0.6433 0.7039 0.7302
0.1433 0.2961 0.7698
0.3567 0.2961 0.2698
0.8567 0.7039 0.2302
0.4043 0.9208 0.6166
0.9043 0.0792 0.8834
0.5957 0.0792 0.3834
0.0957 0.9208 0.1166
0.7857 0.4246 0.4221
0.2857 0.5754 0.0779
0.2143 0.5754 0.5779
0.7143 0.4246 0.9221
0.7666 0.0359 0.1039
0.2666 0.9641 0.3961
0.2334 0.9641 0.8961
0.7334 0.0359 0.6039
0.9292 0.8006 0.4705
0.4292 0.1994 0.0295
0.0708 0.1994 0.5295
0.5708 0.8006 0.9705
```

***

(ii)
## Co3As2O8 (GGA+U)

Data for a relaxed Co3As2O8 crystal.

```
Co3As2O8
1.0
8.1841 6.6235 1.6490
-0.8888 10.1463 3.1357
-3.4340 -9.8200 2.3118
Co As O
9 6 24
Direct
0.1299 0.6301 0.0078
0.2256 0.2256 0.0000
0.7500 0.2500 0.5000
0.8779 0.8701 0.5002
0.6223 0.1221 0.9922
0.4785 0.9785 0.5000
0.0215 0.5215 0.5000
0.7744 0.7744 0.0000
0.3699 0.3777 0.4998
0.0000 0.0000 0.0000
0.6282 0.5317 0.4067
0.1250 0.2215 0.5933
0.4683 0.8750 0.0965
0.2500 0.7500 0.5000
0.7785 0.3718 0.9035
0.1663 0.9025 0.1574
0.4417 0.6764 0.3289
0.8070 0.6239 0.7317
0.9247 0.1930 0.8169
0.1456 0.4556 0.7184
0.0773 0.3081 0.7787
0.5294 0.2986 0.2213
0.7372 0.4272 0.2816
0.3761 0.1079 0.1831
0.9911 0.8337 0.7361
0.5728 0.8544 0.3100
0.3475 0.1128 0.6711
0.8921 0.0753 0.2683
0.7014 0.9227 0.2308
0.1466 0.9176 0.6510
0.7451 0.0089 0.8426
0.5044 0.8534 0.7710
0.3236 0.6525 0.7653
0.8872 0.5583 0.2347
0.0824 0.7334 0.2290
0.2666 0.4956 0.3490
0.6919 0.4706 0.7692
0.5444 0.2628 0.6900
0.0975 0.2549 0.2639
```

***

Calculated relative energies: (i) 0; (ii) 9, given in meV/atom

***

(i)
## Co3As2O8 (GGA+U)

Data for a relaxed Co3As2O8 crystal.

```
Co3As2O8
1.0
-4.3534 4.1335 4.4999
-1.4015 -6.4128 4.0502
9.1829 2.9111 1.2212
Co As O
9 6 24
Direct
0.1664 0.6081 0.7538
0.1910 0.2156 0.4139
0.8488 0.9111 0.2455
0.5844 0.1596 0.7321
0.4171 0.4048 0.9946
0.1173 0.5615 0.0784
0.7899 0.7549 0.6034
0.4760 0.9804 0.9364
0.4560 0.3926 0.3078
0.6388 0.6488 0.8583
0.1005 0.9785 0.0527
0.1062 0.1322 0.6461
0.4847 0.9469 0.4044
0.1219 0.6420 0.4189
0.8201 0.2878 0.1214
0.2360 0.8739 0.9341
0.8272 0.6914 0.8024
0.4304 0.6915 0.7476
0.9285 0.1700 0.2461
0.2905 0.1278 0.2378
0.1152 0.3310 0.5968
0.4509 0.1834 0.5254
0.2137 0.4974 0.9068
0.6207 0.4382 0.8867
0.0563 0.8017 0.1343
0.6491 0.8194 0.0387
0.6955 0.9739 0.3691
0.0980 0.9917 0.4504
0.9311 0.0657 0.7010
0.3310 0.1467 0.7865
0.3790 0.5418 0.1801
0.5706 0.8944 0.5778
0.8762 0.5368 0.2609
0.7082 0.0978 0.9264
0.0428 0.6916 0.5823
0.6570 0.5044 0.4646
0.2521 0.4490 0.4088
0.0035 0.3336 0.0490
0.5676 0.2721 0.1187
```

***

(ii)
## Co3As2O8 (GGA+U)

Data for a relaxed Co3As2O8 crystal.

```
Co3As2O8
1.0
-3.2830 -8.5351 -3.5376
4.2239 0.0874 -4.1308
6.8351 -5.1285 6.0302
Co As O
12 8 32
Direct
0.1341 0.8888 0.4641
0.8765 0.6413 0.0591
0.6235 0.6413 0.5591
0.6379 0.3534 0.2842
0.6341 0.1112 0.0359
0.3659 0.8888 0.9641
0.8621 0.3534 0.7842
0.8659 0.1112 0.5359
0.3765 0.3587 0.4409
0.3621 0.6466 0.7158
0.1379 0.6466 0.2158
0.1235 0.3587 0.9409
0.5567 0.1258 0.7053
0.3446 0.3685 0.1179
0.9433 0.1258 0.2053
0.4433 0.8742 0.2947
0.6554 0.6315 0.8821
0.8446 0.6315 0.3821
0.0567 0.8742 0.7947
0.1554 0.3685 0.6179
0.7669 0.1321 0.1944
0.5112 0.6286 0.3764
0.5046 0.1122 0.3662
0.0046 0.8878 0.1338
0.4802 0.6328 0.8816
0.2669 0.8679 0.3056
0.9802 0.3672 0.6184
0.2557 0.6028 0.0467
0.4888 0.3714 0.6236
0.7557 0.3972 0.4533
0.0112 0.3714 0.1236
0.2766 0.3866 0.2697
0.9888 0.6286 0.8764
0.4910 0.8824 0.1354
0.2302 0.1592 0.5321
0.7698 0.8408 0.4679
0.7766 0.6134 0.2303
0.5198 0.3672 0.1184
0.2698 0.1592 0.0321
0.0198 0.6328 0.3816
0.5090 0.1176 0.8646
0.2331 0.8679 0.8056
0.9910 0.1176 0.3646
0.2234 0.3866 0.7697
0.4954 0.8878 0.6338
0.7302 0.8408 0.9679
0.7234 0.6134 0.7303
0.7331 0.1321 0.6944
0.9954 0.1122 0.8662
0.0090 0.8824 0.6354
0.2443 0.6028 0.5467
0.7443 0.3972 0.9533
```

***

Calculated relative energies: (i) 229; (ii) 0, given in meV/atom